[1]
# Li2CoNiO4 | Materials Project | PBE+U | relaxed
# Excess energy over the best structure of this formula in the dataset (meV per atom): 48
# Energy with MP2020 corrections (eV for the cell shown): -98.2
# Formation energy (eV/atom): -1.575
# Uncorrected energy (eV/atom): -5.272
# Space-group type: C2/m
data_Li2CoNiO4
_space_group_name_H-M_alt 'P 1'
_space_group_IT_number 1
_cell_length_a 5.854
_cell_length_b 5.854
_cell_length_c 5.021
_cell_angle_alpha 105.66
_cell_angle_beta 105.66
_cell_angle_gamma 61.28
loop_
_space_group_symop_operation_xyz
'x,y,z'
loop_
_atom_site_label
_atom_site_type_symbol
_atom_site_fract_x
_atom_site_fract_y
_atom_site_fract_z
Li1 Li 0.000 0.500 0.500
Li2 Li 0.250 0.250 0.003
Li3 Li 0.500 0.000 0.500
Li4 Li 0.750 0.750 0.997
Co1 Co 0.000 0.000 0.500
Co2 Co 0.500 0.500 0.500
Ni1 Ni 0.249 0.751 0.000
Ni2 Ni 0.751 0.249 0.000
O1 O 0.110 0.110 0.272
O2 O 0.129 0.630 0.261
O3 O 0.370 0.871 0.739
O4 O 0.394 0.394 0.729
O5 O 0.606 0.606 0.271
O6 O 0.630 0.129 0.261
O7 O 0.871 0.370 0.739
O8 O 0.890 0.890 0.728

[2]
# LiCo3NiO8 | Materials Project | PBE+U | relaxed
# Excess energy over the best structure of this formula in the dataset (meV per atom): 4
# Energy with MP2020 corrections (eV for the cell shown): -169.1
# Formation energy (eV/atom): -1.225
# Uncorrected energy (eV/atom): -5.506
# Space-group type: P-1
data_LiCo3NiO8
_space_group_name_H-M_alt 'P 1'
_space_group_IT_number 1
_cell_length_a 5.694
_cell_length_b 6.003
_cell_length_c 9.860
_cell_angle_alpha 105.77
_cell_angle_beta 90.39
_cell_angle_gamma 118.28
loop_
_space_group_symop_operation_xyz
'x,y,z'
loop_
_atom_site_label
_atom_site_type_symbol
_atom_site_fract_x
_atom_site_fract_y
_atom_site_fract_z
Li1 Li 0.247 0.002 0.250
Li2 Li 0.753 0.998 0.750
Co1 Co 0.000 0.500 0.000
Co2 Co 0.236 0.492 0.749
Co3 Co 0.260 0.501 0.250
Co4 Co 0.500 0.500 0.500
Co5 Co 0.740 0.499 0.750
Co6 Co 0.764 0.508 0.251
Ni1 Ni 0.000 0.500 0.500
Ni2 Ni 0.500 0.500 0.000
O1 O 0.086 0.686 0.863
O2 O 0.109 0.695 0.362
O3 O 0.119 0.293 0.875
O4 O 0.175 0.299 0.376
O5 O 0.344 0.690 0.114
O6 O 0.346 0.687 0.616
O7 O 0.397 0.306 0.635
O8 O 0.417 0.313 0.140
O9 O 0.583 0.687 0.860
O10 O 0.603 0.694 0.365
O11 O 0.654 0.313 0.384
O12 O 0.656 0.310 0.886
O13 O 0.825 0.701 0.624
O14 O 0.881 0.707 0.125
O15 O 0.891 0.305 0.638
O16 O 0.914 0.314 0.137

[3]
# Li4Co5NiO12 | Materials Project | PBE+U | relaxed
# Excess energy over the best structure of this formula in the dataset (meV per atom): 15
# Energy with MP2020 corrections (eV for the cell shown): -281.6
# Formation energy (eV/atom): -1.476
# Uncorrected energy (eV/atom): -5.538
# Space-group type: P1
data_Li4Co5NiO12
_space_group_name_H-M_alt 'P 1'
_space_group_IT_number 1
_cell_length_a 5.026
_cell_length_b 8.595
_cell_length_c 10.827
_cell_angle_alpha 112.34
_cell_angle_beta 95.03
_cell_angle_gamma 90.72
loop_
_space_group_symop_operation_xyz
'x,y,z'
loop_
_atom_site_label
_atom_site_type_symbol
_atom_site_fract_x
_atom_site_fract_y
_atom_site_fract_z
Li1 Li 0.000 0.000 0.000
Li2 Li 0.003 0.669 0.999
Li3 Li 0.085 0.259 0.508
Li4 Li 0.087 0.928 0.507
Li5 Li 0.501 0.173 0.000
Li6 Li 0.507 0.499 0.999
Li7 Li 0.581 0.429 0.507
Li8 Li 0.587 0.755 0.506
Co1 Co 0.042 0.794 0.252
Co2 Co 0.046 0.134 0.254
Co3 Co 0.293 0.879 0.754
Co4 Co 0.294 0.214 0.753
Co5 Co 0.294 0.549 0.753
Co6 Co 0.541 0.633 0.252
Co7 Co 0.546 0.295 0.255
Co8 Co 0.793 0.379 0.753
Co9 Co 0.794 0.049 0.753
Co10 Co 0.794 0.714 0.753
Ni1 Ni 0.044 0.464 0.253
Ni2 Ni 0.544 0.964 0.254
O1 O 0.127 0.768 0.859
O2 O 0.164 0.105 0.860
O3 O 0.167 0.428 0.858
O4 O 0.205 0.014 0.356
O5 O 0.244 0.335 0.360
O6 O 0.244 0.699 0.358
O7 O 0.344 0.730 0.148
O8 O 0.345 0.096 0.149
O9 O 0.386 0.413 0.150
O10 O 0.420 0.999 0.649
O11 O 0.423 0.323 0.647
O12 O 0.460 0.660 0.648
O13 O 0.627 0.267 0.858
O14 O 0.665 0.605 0.860
O15 O 0.667 0.928 0.858
O16 O 0.702 0.515 0.356
O17 O 0.744 0.198 0.359
O18 O 0.744 0.832 0.358
O19 O 0.844 0.229 0.148
O20 O 0.844 0.593 0.147
O21 O 0.883 0.914 0.151
O22 O 0.920 0.499 0.648
O23 O 0.923 0.823 0.647
O24 O 0.960 0.160 0.648

[4]
# Li3Co3NiO8 | Materials Project | PBE+U | relaxed
# Excess energy over the best structure of this formula in the dataset (meV per atom): 54
# Energy with MP2020 corrections (eV for the cell shown): -188.6
# Formation energy (eV/atom): -1.457
# Uncorrected energy (eV/atom): -5.422
# Space-group type: P6_3mc
data_Li3Co3NiO8
_space_group_name_H-M_alt 'P 1'
_space_group_IT_number 1
_cell_length_a 5.642
_cell_length_b 5.642
_cell_length_c 9.246
_cell_angle_alpha 90.00
_cell_angle_beta 90.00
_cell_angle_gamma 120.00
loop_
_space_group_symop_operation_xyz
'x,y,z'
loop_
_atom_site_label
_atom_site_type_symbol
_atom_site_fract_x
_atom_site_fract_y
_atom_site_fract_z
Li1 Li 0.169 0.339 0.000
Li2 Li 0.169 0.831 0.000
Li3 Li 0.339 0.169 0.500
Li4 Li 0.661 0.831 0.000
Li5 Li 0.831 0.169 0.500
Li6 Li 0.831 0.661 0.500
Co1 Co 0.167 0.334 0.733
Co2 Co 0.167 0.833 0.733
Co3 Co 0.334 0.167 0.233
Co4 Co 0.666 0.833 0.733
Co5 Co 0.833 0.167 0.233
Co6 Co 0.833 0.666 0.233
Ni1 Ni 0.333 0.667 0.455
Ni2 Ni 0.667 0.333 0.955
O1 O 0.000 0.000 0.125
O2 O 0.000 0.000 0.625
O3 O 0.032 0.516 0.615
O4 O 0.154 0.307 0.346
O5 O 0.154 0.846 0.346
O6 O 0.307 0.154 0.846
O7 O 0.333 0.667 0.844
O8 O 0.484 0.516 0.615
O9 O 0.484 0.968 0.615
O10 O 0.516 0.032 0.115
O11 O 0.516 0.484 0.115
O12 O 0.667 0.333 0.344
O13 O 0.693 0.846 0.346
O14 O 0.846 0.154 0.846
O15 O 0.846 0.693 0.846
O16 O 0.968 0.484 0.115

[5]
# Li2CoNiO4 | Materials Project | PBE+U | relaxed
# Excess energy over the best structure of this formula in the dataset (meV per atom): 60
# Energy with MP2020 corrections (eV for the cell shown): -49.0
# Formation energy (eV/atom): -1.563
# Uncorrected energy (eV/atom): -5.259
# Space-group type: C2/m
data_Li2CoNiO4
_space_group_name_H-M_alt 'P 1'
_space_group_IT_number 1
_cell_length_a 5.157
_cell_length_b 5.157
_cell_length_c 5.010
_cell_angle_alpha 101.13
_cell_angle_beta 101.13
_cell_angle_gamma 33.53
loop_
_space_group_symop_operation_xyz
'x,y,z'
loop_
_atom_site_label
_atom_site_type_symbol
_atom_site_fract_x
_atom_site_fract_y
_atom_site_fract_z
Li1 Li 0.247 0.247 0.250
Li2 Li 0.753 0.753 0.750
Co1 Co 0.500 0.500 0.000
Ni1 Ni 0.000 0.000 0.500
O1 O 0.115 0.115 0.883
O2 O 0.386 0.386 0.653
O3 O 0.614 0.614 0.347
O4 O 0.885 0.885 0.117

[6]
# LiCo3NiO8 | Materials Project | PBE+U | relaxed
# Excess energy over the best structure of this formula in the dataset (meV per atom): 58
# Energy with MP2020 corrections (eV for the cell shown): -83.8
# Formation energy (eV/atom): -1.171
# Uncorrected energy (eV/atom): -5.452
# Space-group type: C2/m
data_LiCo3NiO8
_space_group_name_H-M_alt 'P 1'
_space_group_IT_number 1
_cell_length_a 5.678
_cell_length_b 5.678
_cell_length_c 5.913
_cell_angle_alpha 118.24
_cell_angle_beta 118.24
_cell_angle_gamma 60.64
loop_
_space_group_symop_operation_xyz
'x,y,z'
loop_
_atom_site_label
_atom_site_type_symbol
_atom_site_fract_x
_atom_site_fract_y
_atom_site_fract_z
Li1 Li 0.000 0.000 0.000
Co1 Co 0.000 0.500 0.500
Co2 Co 0.500 0.000 0.500
Co3 Co 0.500 0.500 0.500
Ni1 Ni 0.000 0.000 0.500
O1 O 0.214 0.743 0.701
O2 O 0.228 0.228 0.691
O3 O 0.257 0.786 0.299
O4 O 0.259 0.259 0.298
O5 O 0.741 0.741 0.702
O6 O 0.743 0.214 0.701
O7 O 0.772 0.772 0.309
O8 O 0.786 0.257 0.299

Q: Which of these has the lowest excess energy over the best structure of this formula in the dataset?
A: number 2

Q: Look up the uncorrected energy of the first one.
A: -5.272 eV/atom

Q: Which of these has the highest excess energy over the best structure of this formula in the dataset?
A: number 5